A plane-wave DFT calculation with PBE with a Hubbard U was carried out for a geometry-optimized Li2AlVO4 structure.

```
32
Lattice="3.7662 3.8533 0.0000 -7.5326 7.7067 0.0000 0.0000 0.0000 6.4243" Properties=species:S:1:pos:R:3 pbc="T T T"
Li -0.0001 6.2561 1.6061
Li 1.3718 3.8535 6.4242
Li -3.7664 10.1092 1.6062
Li -0.0001 1.4509 4.8183
Li -5.1382 7.7066 3.2122
Li -3.7662 5.3037 4.8182
Li -2.3939 7.7063 6.4243
Li -1.3724 3.8536 3.2123
O -0.1803 5.2326 6.3697
O -3.9452 9.0860 6.3694
O -1.4350 7.7476 1.7527
O 2.3310 3.8952 1.7526
O -3.5869 9.0861 3.2672
O -2.3311 3.8121 4.9649
O -0.1790 2.4739 0.0550
O 0.1788 2.4741 3.1571
O -3.9457 6.3273 0.0545
O -2.3312 3.8950 1.4595
O 2.3314 3.8119 4.6720
O -3.5865 6.3269 3.1575
O -6.0975 7.6651 4.9647
O -1.4357 7.6652 4.6714
O 0.1795 5.2323 3.2664
O -6.0975 7.7481 1.4596
Al -2.4491 7.7060 3.2123
Al -5.0828 7.7061 0.0001
Al -1.3171 3.8540 6.4241
Al 1.3163 3.8542 3.2123
V -3.7666 10.2028 4.8182
V 0.0001 6.3490 4.8183
V -3.7662 5.2106 1.6063
V -0.0001 1.3576 1.6060
```

Output
E: -6.63 eV/atom